Entry from the Materials Project database: Mg2NiH2 after structural relaxation (PBE-GGA).

abc: 4.4296 4.4296 6.3673
angles: 90.00 90.00 90.00
Closest atoms and distances in Å follow each position.
Element x y z (fractional)
Mg 0.0000 0.5000 0.2500  4 H 2.23
Mg 0.0000 0.5000 0.7500  4 H 2.23
Mg 0.5000 0.0000 0.2500  4 H 2.23
Mg 0.5000 0.0000 0.7500  4 H 2.23
Ni 0.0000 0.0000 0.0000  2 H 1.54
Ni 0.5000 0.5000 0.5000  2 H 1.54
H 0.2460 0.2460 0.0000  1 Ni 1.54
H 0.2540 0.7460 0.5000  1 Ni 1.54
H 0.7460 0.2540 0.5000  1 Ni 1.54
H 0.7540 0.7540 0.0000  1 Ni 1.54

Properties
As for the space group: No. 136. As for the formation energy from the elements: -0.19 eV per atom.



Entry from the Materials Project database: CdC4N6 after structural relaxation (PBE-GGA).

abc: 6.3698 7.6205 9.8488
angles: 90.00 127.61 90.00
Closest atoms and distances in Å follow each position.
Element x y z (fractional)
Cd 0.0000 0.0000 0.0000  6 N 2.30-2.52
Cd 0.0000 0.5000 0.5000  6 N 2.30-2.52
C 0.0970 0.1338 0.3683  2 N 1.17-1.31
C 0.0970 0.3662 0.8683  2 N 1.17-1.31
C 0.3898 0.1448 0.6598  2 N 1.17-1.31
C 0.3898 0.3552 0.1598  2 N 1.17-1.31
C 0.6102 0.6448 0.8402  2 N 1.17-1.31
C 0.6102 0.8552 0.3402  2 N 1.17-1.31
C 0.9030 0.6338 0.1317  2 N 1.17-1.31
C 0.9030 0.8662 0.6317  2 N 1.17-1.31
N 0.0131 0.0882 0.2300  1 C 1.17
N 0.0131 0.4118 0.7300  1 C 1.17
N 0.1706 0.1965 0.5151  2 C 1.31
N 0.1706 0.3035 0.0151  2 C 1.31
N 0.4185 0.6084 0.7031  1 C 1.17
N 0.4185 0.8916 0.2031  1 C 1.17
N 0.5815 0.1084 0.7969  1 C 1.17
N 0.5815 0.3916 0.2969  1 C 1.17
N 0.8294 0.6965 0.9849  2 C 1.31
N 0.8294 0.8035 0.4849  2 C 1.31
N 0.9869 0.5882 0.2700  1 C 1.17
N 0.9869 0.9118 0.7700  1 C 1.17

Properties
Its offset from the most stable computed form is 6 meV/atom. As for the space group: No. 14. As for the formation energy from the elements: 0.12 eV per atom.



Entry from the Materials Project database: Zr5CdPb3 after structural relaxation (PBE-GGA).

abc: 8.9221 8.9221 6.0458
angles: 90.00 90.00 120.00
Closest atoms and distances in Å follow each position.
Element x y z (fractional)
Zr 0.0000 0.2791 0.2500  2 Cd 2.91, 5 Pb 3.04-3.15
Zr 0.0000 0.7209 0.7500  2 Cd 2.91, 5 Pb 3.04-3.15
Zr 0.2791 0.0000 0.2500  2 Cd 2.91, 5 Pb 3.04-3.15
Zr 0.2791 0.2791 0.7500  2 Cd 2.91, 5 Pb 3.04-3.15
Zr 0.3333 0.6667 0.0000  2 Zr 3.02, 6 Pb 3.17
Zr 0.3333 0.6667 0.5000  2 Zr 3.02, 6 Pb 3.17
Zr 0.6667 0.3333 0.0000  2 Zr 3.02, 6 Pb 3.17
Zr 0.6667 0.3333 0.5000  2 Zr 3.02, 6 Pb 3.17
Zr 0.7209 0.0000 0.7500  2 Cd 2.91, 5 Pb 3.04-3.15
Zr 0.7209 0.7209 0.2500  2 Cd 2.91, 5 Pb 3.04-3.15
Cd 0.0000 0.0000 0.0000  6 Zr 2.91, 2 Cd 3.02
Cd 0.0000 0.0000 0.5000  6 Zr 2.91, 2 Cd 3.02
Pb 0.0000 0.3799 0.7500  9 Zr 3.04-3.17
Pb 0.0000 0.6201 0.2500  9 Zr 3.04-3.17
Pb 0.3799 0.0000 0.7500  9 Zr 3.04-3.17
Pb 0.3799 0.3799 0.2500  9 Zr 3.04-3.17
Pb 0.6201 0.0000 0.2500  9 Zr 3.04-3.17
Pb 0.6201 0.6201 0.7500  9 Zr 3.04-3.17

Properties
As for the space group: No. 193. As for the formation energy from the elements: -0.25 eV per atom.



Entry from the Materials Project database: SmInPt4 after structural relaxation (PBE-GGA).

abc: 5.4404 5.4404 5.4404
angles: 60.00 60.00 60.00
Closest atoms and distances in Å follow each position.
Element x y z (fractional)
Sm 0.0000 0.0000 0.0000  12 Pt 3.19, 4 In 3.33
In 0.7500 0.7500 0.7500  12 Pt 3.19, 4 Sm 3.33
Pt 0.3755 0.3755 0.3755  6 Pt 2.71-2.73
Pt 0.3755 0.3755 0.8735  6 Pt 2.71-2.73
Pt 0.3755 0.8735 0.3755  6 Pt 2.71-2.73
Pt 0.8735 0.3755 0.3755  6 Pt 2.71-2.73

Properties
As for the space group: No. 216. As for the formation energy from the elements: -0.80 eV per atom.



Entry from the Materials Project database: LuAg3 after structural relaxation (PBE-GGA).

abc: 4.8572 4.8572 4.8572
angles: 60.00 60.00 60.00
Closest atoms and distances in Å follow each position.
Element x y z (fractional)
Lu 0.0000 0.0000 0.0000  8 Ag 2.97
Ag 0.2500 0.2500 0.2500  4 Ag 2.97, 4 Lu 2.97
Ag 0.5000 0.5000 0.5000  8 Ag 2.97
Ag 0.7500 0.7500 0.7500  4 Lu 2.97, 4 Ag 2.97

Properties
As for the space group: No. 225. As for the formation energy from the elements: -0.22 eV per atom.



Entry from the Materials Project database: Ag5Sn6S16 after structural relaxation (PBE-GGA).

abc: 10.7407 10.7407 10.7224
angles: 90.00 90.00 90.97
Closest atoms and distances in Å follow each position.
Element x y z (fractional)
Ag 0.1221 0.6357 0.9927  6 S 2.59-2.77
Ag 0.1229 0.8771 0.7500  6 S 2.64-2.70
Ag 0.3643 0.8779 0.5073  6 S 2.59-2.77
Ag 0.3712 0.3712 0.5000  6 S 2.73-2.84
Ag 0.3881 0.3881 0.0000  6 S 2.60-2.79
Ag 0.6119 0.6119 0.5000  6 S 2.60-2.79
Ag 0.6288 0.6288 0.0000  6 S 2.73-2.84
Ag 0.6357 0.1221 0.0073  6 S 2.59-2.77
Ag 0.8771 0.1229 0.2500  6 S 2.64-2.70
Ag 0.8779 0.3643 0.4927  6 S 2.59-2.77
Sn 0.1150 0.6262 0.4929  6 S 2.56-2.64
Sn 0.1256 0.3778 0.2441  6 S 2.56-2.65
Sn 0.1274 0.1274 0.0000  6 S 2.57-2.69
Sn 0.3651 0.6349 0.2500  6 S 2.58-2.61
Sn 0.3738 0.8850 0.0071  6 S 2.56-2.64
Sn 0.3778 0.1256 0.7559  6 S 2.56-2.65
Sn 0.6222 0.8744 0.2559  6 S 2.56-2.65
Sn 0.6262 0.1150 0.5071  6 S 2.56-2.64
Sn 0.6349 0.3651 0.7500  6 S 2.58-2.61
Sn 0.8726 0.8726 0.5000  6 S 2.57-2.69
Sn 0.8744 0.6222 0.7441  6 S 2.56-2.65
Sn 0.8850 0.3738 0.9929  6 S 2.56-2.64
S 0.1119 0.8642 0.4984  2 Sn 2.56-2.57, 2 Ag 2.70-2.71
S 0.1129 0.6315 0.7362  2 Sn 2.56-2.61, 2 Ag 2.64-2.75
S 0.1181 0.3864 0.4839  2 Sn 2.57-2.58, 2 Ag 2.59-2.73
S 0.1220 0.1396 0.2389  2 Sn 2.56-2.57, 1 Ag 2.64
S 0.1222 0.6248 0.2467  3 Sn 2.61-2.65, 1 Ag 2.73
S 0.1283 0.3779 0.9969  3 Sn 2.61-2.69, 2 Ag 2.77-2.79
S 0.1358 0.8881 0.0016  2 Sn 2.56-2.57, 2 Ag 2.70-2.71
S 0.1396 0.1220 0.7611  2 Sn 2.56-2.57, 1 Ag 2.64
S 0.3572 0.6349 0.4901  2 Sn 2.58-2.60, 3 Ag 2.62-2.84
S 0.3641 0.3947 0.2412  2 Sn 2.57-2.58, 2 Ag 2.60-2.79
S 0.3651 0.6428 0.0099  2 Sn 2.58-2.60, 3 Ag 2.62-2.84
S 0.3685 0.8871 0.7638  2 Sn 2.56-2.61, 2 Ag 2.64-2.75
S 0.3752 0.8778 0.2533  3 Sn 2.61-2.65, 1 Ag 2.73
S 0.3779 0.1283 0.0031  3 Sn 2.61-2.69, 2 Ag 2.77-2.79
S 0.3864 0.1181 0.5161  2 Sn 2.57-2.58, 2 Ag 2.59-2.73
S 0.3947 0.3641 0.7588  2 Sn 2.57-2.58, 2 Ag 2.60-2.79
S 0.6053 0.6359 0.2588  2 Sn 2.57-2.58, 2 Ag 2.60-2.79
S 0.6136 0.8819 0.0161  2 Sn 2.57-2.58, 2 Ag 2.59-2.73
S 0.6221 0.8717 0.5031  3 Sn 2.61-2.69, 2 Ag 2.77-2.79
S 0.6248 0.1222 0.7533  3 Sn 2.61-2.65, 1 Ag 2.73
S 0.6315 0.1129 0.2638  2 Sn 2.56-2.61, 2 Ag 2.64-2.75
S 0.6349 0.3572 0.5099  2 Sn 2.58-2.60, 3 Ag 2.62-2.84
S 0.6359 0.6053 0.7412  2 Sn 2.57-2.58, 2 Ag 2.60-2.79
S 0.6428 0.3651 0.9901  2 Sn 2.58-2.60, 3 Ag 2.62-2.84
S 0.8604 0.8780 0.2611  2 Sn 2.56-2.57, 1 Ag 2.64
S 0.8642 0.1119 0.5016  2 Sn 2.56-2.57, 2 Ag 2.70-2.71
S 0.8717 0.6221 0.4969  3 Sn 2.61-2.69, 2 Ag 2.77-2.79
S 0.8778 0.3752 0.7467  3 Sn 2.61-2.65, 1 Ag 2.73
S 0.8780 0.8604 0.7389  2 Sn 2.56-2.57, 1 Ag 2.64
S 0.8819 0.6136 0.9839  2 Sn 2.57-2.58, 2 Ag 2.59-2.73
S 0.8871 0.3685 0.2362  2 Sn 2.56-2.61, 2 Ag 2.64-2.75
S 0.8881 0.1358 0.9984  2 Sn 2.56-2.57, 2 Ag 2.70-2.71

Properties
As for the space group: No. 20. As for the formation energy from the elements: -0.51 eV per atom.